Entry 1:
DFT (PBE) results for Ca2NbInO6 after structural relaxation.

a b c (Å): 5.5772 5.7939 9.7651
angles (deg): 90.00 124.72 90.00
Closest atoms and distances in Å follow each position.
Space group P2_1/c (No. 14)
Asymmetric unit:
Ca 0.2334 0.0552 0.2475  4 O 2.33-2.43
Nb 0.5000 0.0000 0.0000  6 O 2.02-2.03
In 0.0000 0.0000 0.5000  6 O 2.18-2.20
O 0.1536 0.1888 0.9473  1 Nb 2.02, 1 In 2.18
O 0.2545 0.7109 0.9391  1 Nb 2.03, 1 In 2.20
O 0.3689 0.0423 0.7608  1 Nb 2.03, 1 In 2.19


Entry 2:
DFT (PBE) results for LiBi2As2Pb2O10 after structural relaxation.

a b c (Å): 5.9131 7.0821 8.6329
angles (deg): 70.16 70.24 70.08
Closest atoms and distances in Å follow each position.
Space group P-1 (No. 2)
Asymmetric unit:
Li 0.0000 0.0000 0.0000  2 O 1.91
Bi 0.1248 0.6632 0.3104  3 O 2.23-2.30
As 0.2622 0.7242 0.6605  4 O 1.72-1.75
Pb 0.3963 0.1078 0.1854  2 O 2.34-2.49
O 0.0308 0.5968 0.7610  1 As 1.72
O 0.1841 0.9606 0.7090  1 As 1.74
O 0.3004 0.8709 0.0733  1 Li 1.91
O 0.3342 0.7586 0.4402  1 As 1.75
O 0.4699 0.4084 0.2667  1 As 1.75


Entry 3:
DFT (PBE) results for Na14Ca8Si3S9O48 after structural relaxation.

a b c (Å): 9.5137 16.4875 23.2654
angles (deg): 89.97 89.92 89.99
Closest atoms and distances in Å follow each position.
Space group P1 (No. 1)
Asymmetric unit:
Na 0.0000 0.0000 0.0000  4 O 2.49-2.78
Na 0.0021 0.3305 0.3339  2 O 2.38-2.53
Na 0.0212 0.6857 0.0168  2 O 2.29-2.56
Na 0.0445 0.0183 0.3492  3 O 2.34-2.40
Na 0.1453 0.8734 0.4208  2 O 2.26-2.44
Na 0.1474 0.5294 0.0957  1 O 2.24
Na 0.1525 0.1805 0.7384  1 O 2.22
Na 0.1603 0.1803 0.2666  3 O 2.28-2.55
Na 0.1660 0.5206 0.5790  1 O 2.31
Na 0.1868 0.8614 0.9180  2 O 2.40-2.41
Na 0.2786 0.3506 0.1844  2 O 2.29-2.46
Na 0.3036 0.6731 0.5061  6 O 2.53-2.82
Na 0.3069 0.0043 0.8454  5 O 2.58-2.86
Na 0.3132 0.0053 0.4871  3 O 2.48-2.66
Na 0.3360 0.0332 0.1747  5 O 2.48-2.74
Na 0.3455 0.3748 0.4920  3 O 2.37-2.58
Na 0.3496 0.3477 0.8338  3 O 2.44-2.67
Na 0.3582 0.6970 0.8303  3 O 2.39-2.63
Na 0.4439 0.1946 0.3374  4 O 2.40-2.64
Na 0.4568 0.8531 0.3422  3 O 2.42-2.68
Na 0.4610 0.8779 0.9918  3 O 2.36-2.47
Na 0.4664 0.4999 0.9897  3 O 2.38-2.63
Na 0.4728 0.5335 0.6645  4 O 2.46-2.68
Na 0.4960 0.5037 0.3521  4 O 2.50-2.73
Na 0.5011 0.1685 0.0057  3 O 2.45-2.72
Na 0.5266 0.8541 0.6776  5 O 2.47-2.72
Na 0.6209 0.3553 0.4216  3 O 2.39-2.60
Na 0.6379 0.0212 0.0826  2 O 2.36-2.59
Na 0.6445 0.6836 0.7593  2 O 2.38-2.46
Na 0.6520 0.3571 0.9103  2 O 2.32-2.58
Na 0.6609 0.6853 0.2452  1 O 2.32
Na 0.6851 0.0301 0.5841  2 O 2.35-2.40
Na 0.7657 0.5135 0.8309  2 O 2.30-2.38
Na 0.8029 0.8370 0.8257  3 O 2.44-2.72
Na 0.8050 0.1705 0.5176  3 O 2.43-2.71
Na 0.8079 0.4992 0.5003  4 O 2.50-2.77
Na 0.8132 0.8361 0.1751  4 O 2.51-2.76
Na 0.8338 0.2004 0.8178  1 O 2.24
Na 0.8412 0.5396 0.1705  2 O 2.28-2.40
Na 0.9682 0.0429 0.6527  3 O 2.29-2.45
Na 0.9747 0.7033 0.3237  4 O 2.44-2.65
Na 0.9963 0.3336 0.6676  2 O 2.39-2.56
Ca 0.1385 0.8517 0.5668  5 O 2.16-2.39
Ca 0.1480 0.1803 0.0992  6 O 2.17-2.42
Ca 0.1494 0.1787 0.5979  4 O 2.15-2.37
Ca 0.1538 0.8469 0.7661  6 O 2.22-2.43
Ca 0.1550 0.1785 0.4044  6 O 2.18-2.40
Ca 0.1549 0.1792 0.9087  5 O 2.17-2.42
Ca 0.1549 0.8453 0.0748  6 O 2.21-2.45
Ca 0.1548 0.8469 0.2632  6 O 2.22-2.45
Ca 0.1582 0.5124 0.9319  5 O 2.19-2.41
Ca 0.1594 0.5194 0.7381  4 O 2.15-2.40
Ca 0.1604 0.5199 0.2364  6 O 2.24-2.45
Ca 0.1632 0.5135 0.4317  6 O 2.16-2.40
Ca 0.6430 0.0125 0.9314  5 O 2.17-2.41
Ca 0.6479 0.6826 0.9011  6 O 2.23-2.35
Ca 0.6489 0.0202 0.7345  6 O 2.23-2.42
Ca 0.6504 0.3459 0.7609  5 O 2.18-2.41
Ca 0.6506 0.0189 0.2393  5 O 2.16-2.41
Ca 0.6515 0.3467 0.2673  6 O 2.20-2.41
Ca 0.6512 0.6833 0.1016  6 O 2.21-2.36
Ca 0.6516 0.6793 0.4091  4 O 2.17-2.40
Ca 0.6529 0.3431 0.5738  6 O 2.17-2.42
Ca 0.6538 0.0121 0.4348  6 O 2.23-2.42
Ca 0.6593 0.6809 0.5984  6 O 2.18-2.44
Ca 0.6633 0.3461 0.0692  6 O 2.24-2.38
Si 0.3077 0.0271 0.0040  4 O 1.64-1.67
Si 0.3092 0.3616 0.3321  4 O 1.65-1.66
Si 0.3454 0.0130 0.3326  4 O 1.65-1.67
Si 0.4634 0.5126 0.8362  4 O 1.64-1.67
Si 0.4966 0.8614 0.8332  4 O 1.64-1.66
Si 0.4985 0.5268 0.5043  4 O 1.64-1.66
Si 0.8147 0.1932 0.6706  4 O 1.64-1.67
Si 0.9934 0.6925 0.1677  4 O 1.64-1.69
Si 0.9965 0.0275 0.5009  4 O 1.65-1.66
S 0.0003 0.3365 0.5012  4 O 1.48-1.50
S 0.0019 0.3632 0.8344  4 O 1.48-1.50
S 0.0024 0.6665 0.8378  4 O 1.48-1.49
S 0.3028 0.9971 0.6689  4 O 1.48-1.50
S 0.3094 0.3358 0.0036  4 O 1.47-1.51
S 0.3089 0.6689 0.3369  4 O 1.48-1.50
S 0.3090 0.6970 0.6667  4 O 1.47-1.51
S 0.3410 0.3521 0.6691  4 O 1.48-1.51
S 0.3485 0.6804 0.0010  4 O 1.48-1.51
S 0.4573 0.1839 0.5008  4 O 1.47-1.50
S 0.4651 0.8519 0.1683  4 O 1.48-1.50
S 0.4964 0.8335 0.5038  4 O 1.48-1.50
S 0.4984 0.1973 0.1657  4 O 1.48-1.50
S 0.4985 0.1697 0.8382  4 O 1.47-1.50
S 0.5051 0.4964 0.1655  4 O 1.48-1.49
S 0.8034 0.5314 0.0017  4 O 1.49-1.50
S 0.8031 0.8610 0.3324  4 O 1.47-1.51
S 0.8037 0.1684 0.3360  4 O 1.48-1.50
S 0.8063 0.8336 0.0012  4 O 1.48-1.50
S 0.8077 0.5016 0.6690  4 O 1.49-1.50
S 0.8454 0.1819 0.9989  4 O 1.47-1.50
S 0.8460 0.8472 0.6724  4 O 1.47-1.50
S 0.8492 0.5181 0.3347  4 O 1.48-1.50
S 0.9564 0.0174 0.8365  4 O 1.47-1.50
S 0.9592 0.3497 0.1700  4 O 1.48-1.50
S 0.9612 0.6792 0.4989  4 O 1.48-1.50
S 0.9977 0.0008 0.1672  4 O 1.49
O 0.0272 0.7480 0.2249  1 Si 1.65
O 0.0290 0.9530 0.1141  1 S 1.49
O 0.0330 0.6134 0.7883  1 S 1.48
O 0.0352 0.0804 0.5590  1 Si 1.65
O 0.0354 0.2893 0.4489  1 S 1.48
O 0.0346 0.4151 0.8846  1 S 1.48
O 0.0400 0.6003 0.4976  1 S 1.50
O 0.0432 0.7370 0.1078  1 Si 1.64
O 0.0452 0.4259 0.1699  1 S 1.50
O 0.0469 0.9431 0.8322  1 S 1.50
O 0.0479 0.0915 0.8379  1 S 1.50
O 0.0553 0.4015 0.7809  1 S 1.48
O 0.0564 0.2792 0.1652  1 S 1.49
O 0.0574 0.5998 0.1693  1 Si 1.65
O 0.0579 0.4209 0.4978  1 S 1.50
O 0.0584 0.9585 0.2179  1 S 1.49
O 0.0596 0.0714 0.4426  1 Si 1.65
O 0.0601 0.6300 0.8914  1 S 1.49
O 0.0628 0.2978 0.5528  1 S 1.48
O 0.0637 0.0825 0.1647  1 S 1.49
O 0.0654 0.7457 0.5049  1 S 1.48
O 0.0660 0.7485 0.8310  1 S 1.49
O 0.0696 0.2815 0.8396  1 S 1.50
O 0.0812 0.9395 0.5018  1 Si 1.66
O 0.2310 0.2725 0.3358  1 Si 1.65
O 0.2361 0.9350 0.0051  1 Si 1.66
O 0.2408 0.0798 0.6650  1 S 1.49
O 0.2410 0.7500 0.3303  1 S 1.49
O 0.2419 0.9310 0.3326  1 Si 1.67
O 0.2434 0.9592 0.7221  1 S 1.50
O 0.2460 0.0699 0.9448  1 Si 1.66
O 0.2475 0.0955 0.3353  1 Si 1.65
O 0.2482 0.2801 0.6649  1 S 1.48
O 0.2476 0.4056 0.2738  1 Si 1.65
O 0.2500 0.4269 0.6701  1 S 1.51
O 0.2511 0.4197 0.0021  1 S 1.49
O 0.2516 0.6323 0.3904  1 S 1.49
O 0.2530 0.6121 0.6671  1 S 1.50
O 0.2535 0.6074 0.0000  1 S 1.51
O 0.2559 0.2938 0.0551  1 S 1.47
O 0.2576 0.7387 0.6148  1 S 1.47
O 0.2603 0.7550 0.0052  1 S 1.49
O 0.2658 0.9465 0.6185  1 S 1.48
O 0.2675 0.7414 0.7197  1 S 1.49
O 0.2683 0.0829 0.0601  1 Si 1.64
O 0.2748 0.2892 0.9507  1 S 1.49
O 0.2786 0.4184 0.3890  1 Si 1.65
O 0.2792 0.6156 0.2874  1 S 1.48
O 0.3230 0.8492 0.8317  1 Si 1.66
O 0.3241 0.5204 0.5036  1 Si 1.66
O 0.3388 0.8325 0.5064  1 S 1.50
O 0.3405 0.1939 0.1662  1 S 1.50
O 0.3425 0.1811 0.8410  1 S 1.50
O 0.3492 0.5009 0.1685  1 S 1.49
O 0.3612 0.5221 0.7800  1 Si 1.64
O 0.3627 0.1788 0.5508  1 S 1.47
O 0.3695 0.5019 0.8956  1 Si 1.65
O 0.3740 0.1937 0.4470  1 S 1.49
O 0.3748 0.8592 0.1165  1 S 1.48
O 0.3782 0.8452 0.2207  1 S 1.48
O 0.4242 0.3455 0.7231  1 S 1.49
O 0.4317 0.6865 0.9474  1 S 1.48
O 0.4360 0.3612 0.6190  1 S 1.48
O 0.4395 0.0201 0.2731  1 Si 1.65
O 0.4431 0.6710 0.0508  1 S 1.48
O 0.4468 0.0016 0.3892  1 Si 1.65
O 0.4586 0.0006 0.6716  1 S 1.49
O 0.4649 0.6799 0.3402  1 S 1.50
O 0.4675 0.6932 0.6674  1 S 1.51
O 0.4680 0.3419 0.0052  1 S 1.51
O 0.4826 0.0204 0.0035  1 Si 1.67
O 0.4829 0.3500 0.3319  1 Si 1.66
O 0.5240 0.9148 0.8921  1 Si 1.65
O 0.5300 0.1166 0.7891  1 S 1.47
O 0.5350 0.7873 0.4506  1 S 1.50
O 0.5383 0.5816 0.5610  1 Si 1.64
O 0.5405 0.2440 0.2171  1 S 1.48
O 0.5409 0.4481 0.1134  1 S 1.49
O 0.5448 0.1090 0.4991  1 S 1.49
O 0.5462 0.9183 0.5016  1 S 1.48
O 0.5496 0.2376 0.1124  1 S 1.49
O 0.5508 0.2567 0.5044  1 S 1.50
O 0.5547 0.1335 0.8922  1 S 1.49
O 0.5556 0.1129 0.1665  1 S 1.49
O 0.5561 0.7926 0.5551  1 S 1.48
O 0.5566 0.9262 0.1694  1 S 1.50
O 0.5592 0.7795 0.1653  1 S 1.49
O 0.5602 0.5698 0.4451  1 Si 1.66
O 0.5631 0.4294 0.8332  1 Si 1.67
O 0.5628 0.9070 0.7768  1 Si 1.64
O 0.5653 0.4565 0.2172  1 S 1.48
O 0.5656 0.2515 0.8322  1 S 1.50
O 0.5674 0.5929 0.8371  1 Si 1.65
O 0.5693 0.5786 0.1622  1 S 1.49
O 0.5698 0.4349 0.5051  1 Si 1.66
O 0.5740 0.7712 0.8351  1 Si 1.66
O 0.7344 0.4499 0.0050  1 S 1.50
O 0.7358 0.7785 0.3370  1 S 1.51
O 0.7404 0.2510 0.3297  1 S 1.50
O 0.7410 0.5833 0.6661  1 S 1.49
O 0.7420 0.2501 0.0037  1 S 1.50
O 0.7439 0.1310 0.3882  1 S 1.48
O 0.7441 0.7943 0.0528  1 S 1.49
O 0.7454 0.5714 0.9496  1 S 1.49
O 0.7470 0.9173 0.9975  1 S 1.49
O 0.7481 0.4614 0.7214  1 S 1.50
O 0.7479 0.7765 0.6683  1 S 1.50
O 0.7515 0.8979 0.2777  1 S 1.49
O 0.7526 0.1001 0.6699  1 Si 1.64
O 0.7581 0.5924 0.3366  1 S 1.50
O 0.7586 0.4442 0.3308  1 S 1.49
O 0.7607 0.9233 0.6714  1 S 1.49
O 0.7636 0.1040 0.9977  1 S 1.50
O 0.7641 0.2426 0.6130  1 Si 1.64
O 0.7667 0.9126 0.3815  1 S 1.47
O 0.7692 0.5804 0.0536  1 S 1.49
O 0.7730 0.7850 0.9494  1 S 1.48
O 0.7736 0.4524 0.6173  1 S 1.49
O 0.7747 0.1171 0.2850  1 S 1.48
O 0.7783 0.2450 0.7296  1 Si 1.65
O 0.8168 0.6844 0.1684  1 Si 1.69
O 0.8232 0.0257 0.5005  1 Si 1.65
O 0.8418 0.0058 0.1717  1 S 1.49
O 0.8439 0.3421 0.5052  1 S 1.49
O 0.8453 0.3535 0.8328  1 S 1.50
O 0.8464 0.6754 0.8412  1 S 1.49
O 0.8619 0.0253 0.7867  1 S 1.47
O 0.8622 0.3551 0.1203  1 S 1.48
O 0.8635 0.6746 0.5482  1 S 1.48
O 0.8729 0.0094 0.8905  1 S 1.49
O 0.8778 0.3426 0.2242  1 S 1.48
O 0.8814 0.6910 0.4445  1 S 1.49
O 0.9246 0.8400 0.7277  1 S 1.49
O 0.9264 0.1931 0.9450  1 S 1.48
O 0.9356 0.5105 0.3874  1 S 1.48
O 0.9407 0.1778 0.0487  1 S 1.47
O 0.9408 0.5263 0.2833  1 S 1.48
O 0.9448 0.8505 0.6237  1 S 1.47
O 0.9593 0.5252 0.9988  1 S 1.49
O 0.9593 0.8506 0.3315  1 S 1.50
O 0.9596 0.1789 0.3393  1 S 1.50
O 0.9632 0.5066 0.6729  1 S 1.49
O 0.9628 0.8395 0.0052  1 S 1.50
O 0.9903 0.1886 0.6700  1 Si 1.67


no.,formation energy from the elements (meV per atom),energy with MP2020 corrections (eV per cell)
1,-2994,-152.99
2,-1610,-103.28
3,-2529,-1598.79